1.
Density functional theory data (PBE) for a relaxed Pr3Al12Ru4 crystal.

Lattice parameters (Å, degrees): 8.910 8.910 9.709 90.00 90.00 120.00
Element x y z (fractional)
Al1 0.437 0.563 0.750
Pr1 0.616 0.808 0.250
Ru1 0.000 0.500 0.500
Al2 0.162 0.325 0.924
Ru2 0.500 0.000 0.000
Al3 0.838 0.162 0.424
Al4 0.162 0.325 0.576
Ru3 0.000 0.500 0.000
Al5 0.667 0.333 0.509
Ru4 0.000 0.000 0.000
Al6 0.675 0.838 0.924
Ru5 0.500 0.500 0.000
Al7 0.162 0.838 0.576
Al8 0.667 0.333 0.991
Pr2 0.192 0.384 0.250
Al9 0.162 0.838 0.924
Al10 0.000 0.000 0.750
Al11 0.563 0.437 0.250
Ru6 0.000 0.000 0.500
Al12 0.838 0.675 0.076
Al13 0.333 0.667 0.009
Al14 0.125 0.563 0.750
Pr3 0.384 0.192 0.750
Ru7 0.500 0.000 0.500
Pr4 0.808 0.192 0.750
Pr5 0.808 0.616 0.750
Al15 0.675 0.838 0.576
Al16 0.563 0.125 0.250
Al17 0.333 0.667 0.491
Al18 0.325 0.162 0.076
Ru8 0.500 0.500 0.500
Al19 0.325 0.162 0.424
Al20 0.000 0.000 0.250
Al21 0.437 0.875 0.750
Pr6 0.192 0.808 0.250
Al22 0.838 0.675 0.424
Al23 0.838 0.162 0.076
Al24 0.875 0.437 0.250

Results
SG	P6_3/mmc
calculated formation energy	-630	meV/atom
uncorrected energy	-5.7032	eV per atom


2.
Density functional theory data (PBE) for a relaxed Rb2ScSi4O10F crystal.

Lattice parameters (Å, degrees): 8.519 11.669 11.841 111.26 90.00 90.00
Element x y z (fractional)
Si1 0.563 0.756 0.609
O1 0.524 0.321 0.894
Si2 0.434 0.021 0.754
Si3 0.566 0.979 0.246
Sc1 0.496 0.294 0.709
O2 0.250 0.806 0.035
F1 0.750 0.276 0.693
O3 0.250 0.974 0.745
Si4 0.439 0.610 0.771
O4 0.543 0.896 0.713
Sc2 0.504 0.706 0.291
O5 0.971 0.342 0.343
O6 0.750 0.026 0.255
Rb1 0.250 0.470 0.034
Rb2 0.250 0.080 0.081
O7 0.029 0.658 0.657
O8 0.976 0.321 0.894
Si5 0.937 0.229 0.962
Rb3 0.250 0.989 0.472
O9 0.026 0.093 0.900
O10 0.029 0.104 0.676
F2 0.750 0.688 0.275
O11 0.503 0.746 0.478
O12 0.750 0.723 0.614
O13 0.750 0.194 0.965
O14 0.043 0.104 0.287
O15 0.024 0.679 0.106
Sc3 0.004 0.294 0.709
Si6 0.063 0.771 0.038
Si7 0.939 0.390 0.229
Rb4 0.750 0.011 0.528
O16 0.526 0.907 0.100
Si8 0.934 0.979 0.246
O17 0.997 0.746 0.478
Si9 0.063 0.244 0.391
Si10 0.061 0.610 0.771
F3 0.250 0.312 0.725
O18 0.957 0.896 0.713
O19 0.750 0.401 0.216
Rb5 0.250 0.555 0.448
O20 0.526 0.482 0.749
O21 0.998 0.720 0.897
Sc4 0.996 0.706 0.291
O22 0.529 0.896 0.324
Si11 0.937 0.756 0.609
Rb6 0.750 0.530 0.966
O23 0.457 0.104 0.287
O24 0.003 0.254 0.522
O25 0.471 0.658 0.657
O26 0.471 0.104 0.676
Si12 0.563 0.229 0.962
F4 0.250 0.724 0.307
Si13 0.437 0.771 0.038
O27 0.498 0.280 0.103
O28 0.974 0.907 0.100
O29 0.026 0.518 0.251
Si14 0.561 0.390 0.229
Rb7 0.750 0.445 0.552
O30 0.529 0.342 0.343
Rb8 0.750 0.920 0.919
O31 0.974 0.482 0.749
O32 0.502 0.720 0.897
O33 0.002 0.280 0.103
Si15 0.437 0.244 0.391
O34 0.476 0.679 0.106
O35 0.474 0.518 0.251
O36 0.497 0.254 0.522
Si16 0.066 0.021 0.754
O37 0.971 0.896 0.324
O38 0.250 0.599 0.784
O39 0.250 0.277 0.386
O40 0.474 0.093 0.900

Results
energy above the most stable polymorph in this dataset	0.0	meV/atom
SG	P2_1/m
calculated formation energy	-3288	meV/atom
uncorrected energy	-7.4024	eV per atom


3.
Density functional theory data (PBE) for a relaxed Ca2MgAs2O10 crystal.

Lattice parameters (Å, degrees): 5.552 6.254 12.255 90.00 90.00 109.66
Element x y z (fractional)
O1 0.571 0.419 0.212
Mg1 0.500 0.000 0.500
As1 0.069 0.215 0.380
O2 0.929 0.581 0.712
O3 0.429 0.581 0.788
O4 0.968 0.943 0.325
Mg2 0.000 0.000 0.000
O5 0.461 0.158 0.651
O6 0.642 0.756 0.978
O7 0.142 0.756 0.522
O8 0.857 0.266 0.052
Ca1 0.763 0.562 0.375
O9 0.539 0.842 0.349
O10 0.143 0.734 0.948
As2 0.931 0.785 0.620
Ca2 0.737 0.438 0.875
O11 0.468 0.943 0.175
O12 0.358 0.244 0.022
As3 0.569 0.215 0.120
O13 0.071 0.419 0.288
O14 0.032 0.057 0.675
Ca3 0.263 0.562 0.125
O15 0.858 0.244 0.478
O16 0.961 0.158 0.849
O17 0.643 0.734 0.552
O18 0.532 0.057 0.825
O19 0.039 0.842 0.151
O20 0.357 0.266 0.448
Ca4 0.237 0.438 0.625
As4 0.431 0.785 0.880

Results
SG	P2_1/c
calculated formation energy	-2060	meV/atom
uncorrected energy	-5.8958	eV per atom


4.
Density functional theory data (PBE) for a relaxed BaCa2Er10O18 crystal.

Lattice parameters (Å, degrees): 3.359 17.704 17.691 59.97 89.98 89.97
Element x y z (fractional)
O1 0.251 0.302 0.919
Er1 0.253 0.119 0.112
O2 0.252 0.841 0.521
O3 0.755 0.694 0.092
Er2 0.760 0.212 0.566
Ba1 0.251 0.997 0.003
O4 0.251 0.918 0.778
O5 0.255 0.258 0.100
O6 0.252 0.639 0.836
O7 0.753 0.552 0.024
Er3 0.252 0.453 0.103
Ca1 0.751 0.670 0.344
O8 0.754 0.027 0.423
O9 0.252 0.573 0.447
O10 0.755 0.182 0.456
O11 0.754 0.096 0.212
O12 0.751 0.893 0.355
Er4 0.752 0.897 0.549
O13 0.252 0.786 0.301
Er5 0.750 0.345 0.985
O14 0.751 0.354 0.757
O15 0.252 0.856 0.976
Er6 0.251 0.780 0.787
Ca2 0.254 0.332 0.664
Er7 0.752 0.887 0.231
O16 0.257 0.641 0.250
O17 0.751 0.755 0.889
Er8 0.254 0.768 0.121
Er9 0.251 0.432 0.779
O18 0.753 0.128 0.024
Ba2 0.299 0.336 0.334
O19 0.258 0.192 0.300
Er10 0.253 0.103 0.445
Er11 0.752 0.227 0.882
Er12 0.752 0.881 0.891
Er13 0.752 0.554 0.895
O20 0.751 0.696 0.473
O21 0.754 0.211 0.694
O22 0.252 0.165 0.858
O23 0.758 0.453 0.361
O24 0.753 0.023 0.849
Er14 0.758 0.223 0.212
O25 0.251 0.983 0.579
O26 0.251 0.439 0.981
O27 0.259 0.300 0.509
Ca3 0.254 0.665 0.006
O28 0.754 0.363 0.182
O29 0.259 0.510 0.188
O30 0.252 0.518 0.640
Er15 0.759 0.568 0.223
O31 0.751 0.842 0.694
Er16 0.254 0.111 0.769
O32 0.256 0.099 0.644
O33 0.755 0.419 0.553
O34 0.751 0.463 0.842
Ca4 0.252 0.003 0.330
O35 0.252 0.978 0.166
O36 0.753 0.853 0.122
Er17 0.752 0.551 0.551
Er18 0.251 0.786 0.433
Er19 0.750 0.985 0.670
Er20 0.255 0.447 0.452

Results
SG	P1
calculated formation energy	-3813	meV/atom
uncorrected energy	-7.9515	eV per atom


5.
Density functional theory data (PBE) for a relaxed Mg3Cu2Si4O14 crystal.

Lattice parameters (Å, degrees): 9.411 9.411 9.951 58.14 58.14 47.87
Element x y z (fractional)
O1 0.327 0.818 0.538
O2 0.398 0.299 0.083
O3 0.602 0.701 0.917
O4 0.636 0.452 0.820
Si1 0.253 0.512 0.130
Mg1 0.392 0.608 0.750
O5 0.075 0.532 0.843
O6 0.072 0.506 0.297
O7 0.182 0.673 0.962
O8 0.506 0.072 0.797
O9 0.022 0.214 0.455
O10 0.928 0.494 0.703
Mg2 0.740 0.930 0.452
O11 0.364 0.548 0.180
O12 0.532 0.075 0.343
Mg3 0.070 0.260 0.048
Si2 0.928 0.442 0.329
O13 0.701 0.602 0.417
O14 0.887 0.985 0.722
Si3 0.747 0.488 0.870
O15 0.985 0.887 0.222
O16 0.978 0.786 0.545
Mg4 0.260 0.070 0.548
O17 0.468 0.925 0.657
Si4 0.512 0.253 0.630
Cu1 0.780 0.220 0.750
O18 0.452 0.636 0.320
O19 0.673 0.182 0.462
O20 0.548 0.364 0.680
O21 0.925 0.468 0.157
O22 0.299 0.398 0.583
O23 0.786 0.978 0.045
O24 0.818 0.327 0.038
Cu2 0.000 0.000 0.500
O25 0.214 0.022 0.955
O26 0.494 0.928 0.203
Si5 0.442 0.928 0.829
O27 0.113 0.015 0.278
Cu3 0.000 0.000 0.000
Si6 0.488 0.747 0.370
Mg5 0.608 0.392 0.250
Si7 0.072 0.558 0.671
Mg6 0.930 0.740 0.952
O28 0.015 0.113 0.778
Cu4 0.220 0.780 0.250
Si8 0.558 0.072 0.171

Results
SG	C2/c
calculated formation energy	-2633	meV/atom
uncorrected energy	-6.7353	eV per atom


6.
Density functional theory data (PBE) for a relaxed La2Ni22C3 crystal.

Lattice parameters (Å, degrees): 9.427 9.427 14.702 90.00 90.00 105.60
Element x y z (fractional)
Ni1 0.753 0.601 0.549
Ni2 0.796 0.947 0.869
Ni3 0.455 0.203 0.200
Ni4 0.910 0.532 0.048
Ni5 0.570 0.071 0.818
Ni6 0.007 0.770 0.578
Ni7 0.997 0.003 0.676
Ni8 0.730 0.493 0.922
Ni9 0.061 0.939 0.844
Ni10 0.678 0.105 0.156
Ni11 0.929 0.430 0.818
Ni12 0.500 0.500 0.000
Ni13 0.204 0.053 0.131
Ni14 0.270 0.507 0.078
Ni15 0.000 0.000 0.000
Ni16 0.045 0.297 0.700
Ni17 0.297 0.045 0.300
Ni18 0.601 0.753 0.451
Ni19 0.571 0.070 0.318
Ni20 0.638 0.711 0.928
Ni21 0.090 0.468 0.952
Ni22 0.429 0.930 0.682
Ni23 0.955 0.703 0.300
Ni24 0.178 0.605 0.344
La1 0.687 0.813 0.250
Ni25 0.503 0.497 0.176
Ni26 0.211 0.138 0.428
Ni27 0.895 0.322 0.156
Ni28 0.561 0.439 0.656
Ni29 0.605 0.178 0.656
Ni30 0.138 0.211 0.572
Ni31 0.468 0.090 0.048
C1 0.066 0.442 0.417
Ni32 0.797 0.545 0.200
Ni33 0.993 0.230 0.422
Ni34 0.678 0.322 0.265
Ni35 0.553 0.704 0.631
Ni36 0.101 0.253 0.049
Ni37 0.253 0.101 0.951
Ni38 0.747 0.899 0.049
Ni39 0.247 0.399 0.451
Ni40 0.704 0.553 0.369
C2 0.934 0.558 0.583
Ni41 0.493 0.730 0.078
C3 0.442 0.066 0.583
Ni42 0.399 0.247 0.549
Ni43 0.822 0.395 0.656
Ni44 0.857 0.143 0.588
Ni45 0.822 0.178 0.765
La2 0.207 0.793 0.028
Ni46 0.500 0.500 0.500
La3 0.707 0.293 0.472
Ni47 0.862 0.789 0.428
Ni48 0.296 0.447 0.631
Ni49 0.430 0.929 0.182
Ni50 0.289 0.362 0.928
Ni51 0.357 0.643 0.912
Ni52 0.032 0.410 0.548
Ni53 0.178 0.822 0.235
Ni54 0.230 0.993 0.578
Ni55 0.395 0.822 0.344
Ni56 0.947 0.796 0.131
Ni57 0.322 0.678 0.735
C4 0.553 0.447 0.291
Ni58 0.000 0.000 0.500
Ni59 0.003 0.997 0.324
Ni60 0.770 0.007 0.422
La4 0.293 0.707 0.528
Ni61 0.410 0.032 0.452
C5 0.558 0.934 0.417
Ni62 0.447 0.296 0.369
C6 0.053 0.947 0.209
Ni63 0.105 0.678 0.844
C7 0.566 0.942 0.083
Ni64 0.840 0.160 0.288
La5 0.187 0.313 0.250
Ni65 0.322 0.895 0.844
Ni66 0.160 0.840 0.712
Ni67 0.643 0.357 0.088
Ni68 0.899 0.747 0.951
Ni69 0.340 0.660 0.212
Ni70 0.532 0.910 0.952
Ni71 0.507 0.270 0.922
Ni72 0.660 0.340 0.788
Ni73 0.439 0.561 0.344
Ni74 0.939 0.061 0.156
Ni75 0.590 0.968 0.548
C8 0.942 0.566 0.917
Ni76 0.143 0.857 0.412
Ni77 0.930 0.429 0.318
Ni78 0.070 0.571 0.682
La6 0.793 0.207 0.972
C9 0.447 0.553 0.709
Ni79 0.497 0.503 0.824
Ni80 0.711 0.638 0.072
Ni81 0.053 0.204 0.869
La7 0.313 0.187 0.750
La8 0.813 0.687 0.750
Ni82 0.968 0.590 0.452
Ni83 0.071 0.570 0.182
C10 0.947 0.053 0.791
Ni84 0.203 0.455 0.800
Ni85 0.545 0.797 0.800
Ni86 0.703 0.955 0.700
Ni87 0.789 0.862 0.572
C11 0.058 0.434 0.083
C12 0.434 0.058 0.917
Ni88 0.362 0.289 0.072

Results
SG	Cmce
calculated formation energy	-114	meV/atom
uncorrected energy	-6.2152	eV per atom


7.
Density functional theory data (PBE) for a relaxed La14Sb8CO7 crystal.

Lattice parameters (Å, degrees): 13.275 13.275 9.384 90.00 90.00 90.00
Element x y z (fractional)
La1 0.510 0.249 0.689
Sb1 0.500 0.000 0.642
O1 0.472 0.740 0.442
La2 0.155 0.117 0.353
Sb2 0.741 0.759 0.657
La3 0.609 0.109 0.345
Sb3 0.998 0.751 0.046
La4 0.010 0.251 0.689
La5 0.883 0.155 0.353
La6 0.617 0.655 0.353
La7 0.891 0.609 0.345
O2 0.000 0.500 0.242
La8 0.249 0.749 0.012
La9 0.117 0.845 0.353
Sb4 0.241 0.741 0.657
La10 0.751 0.510 0.689
Sb5 0.749 0.502 0.046
O3 0.260 0.472 0.442
La11 0.845 0.883 0.353
Sb6 0.498 0.749 0.046
O4 0.740 0.528 0.442
O5 0.528 0.260 0.442
La12 0.251 0.990 0.689
La13 0.490 0.751 0.689
Sb7 0.500 0.500 0.643
Sb8 0.259 0.241 0.657
O6 0.240 0.972 0.442
O7 0.237 0.263 0.257
La14 0.655 0.383 0.353
Sb9 0.751 0.002 0.046
O8 0.028 0.240 0.442
C1 0.500 0.500 0.284
Sb10 0.000 0.000 0.643
Sb11 0.759 0.259 0.657
Sb12 0.249 0.998 0.046
Sb13 0.002 0.249 0.046
La15 0.109 0.391 0.345
La16 0.251 0.249 0.012
O9 0.500 0.000 0.242
C2 0.000 0.000 0.284
La17 0.749 0.010 0.689
La18 0.249 0.490 0.689
La19 0.500 0.000 0.005
La20 0.391 0.891 0.345
O10 0.263 0.763 0.257
La21 0.751 0.251 0.012
La22 0.383 0.345 0.353
O11 0.763 0.737 0.257
La23 0.500 0.500 0.032
O12 0.972 0.760 0.442
La24 0.000 0.500 0.005
La25 0.990 0.749 0.689
Sb14 0.502 0.251 0.046
Sb15 0.251 0.498 0.046
La26 0.345 0.617 0.353
La27 0.749 0.751 0.012
O13 0.760 0.028 0.442
Sb16 0.000 0.500 0.642
La28 0.000 0.000 0.032
O14 0.737 0.237 0.257

Results
SG	P4bm
calculated formation energy	-2218	meV/atom
uncorrected energy	-6.9243	eV per atom